<w>
An optimized crystal structure of RbCSO3F3, computed with PBE.

Cell: 5.860 5.286 10.582 Å, 76.41 90.00 90.00°
Sites, in units of the cell vectors:
F: 0.351 0.277 0.363
F: 0.204 0.789 0.565
F: 0.851 0.723 0.637
F: 0.704 0.211 0.435
F: 0.560 0.606 0.390
F: 0.060 0.394 0.610
O: 0.648 0.174 0.153
O: 0.148 0.826 0.847
O: 0.404 0.478 0.814
O: 0.509 0.626 0.108
O: 0.009 0.374 0.892
O: 0.904 0.522 0.186
C: 0.566 0.379 0.352
C: 0.066 0.621 0.648
Rb: 0.152 0.009 0.144
Rb: 0.652 0.991 0.856
S: 0.169 0.568 0.820
S: 0.669 0.432 0.180

<x>
An optimized crystal structure of RbCSO3F3, computed with PBE.

Cell: 15.792 15.792 5.291 Å, 82.10 82.10 100.15°
Sites, in units of the cell vectors:
F: 0.879 0.400 0.802
F: 0.412 0.750 0.712
F: 0.023 0.433 0.211
F: 0.433 0.023 0.211
F: 0.049 0.362 0.887
F: 0.400 0.879 0.802
F: 0.770 0.394 0.116
F: 0.803 0.658 0.338
F: 0.658 0.803 0.338
F: 0.640 0.549 0.656
F: 0.750 0.412 0.712
F: 0.394 0.770 0.116
F: 0.884 0.562 0.262
F: 0.148 0.148 0.061
F: 0.059 0.304 0.280
F: 0.304 0.059 0.280
F: 0.562 0.884 0.262
F: 0.111 0.201 0.696
F: 0.201 0.111 0.696
F: 0.362 0.049 0.887
F: 0.627 0.829 0.947
F: 0.549 0.640 0.656
F: 0.619 0.619 0.983
F: 0.829 0.627 0.947
C: 0.792 0.369 0.883
C: 0.369 0.792 0.883
C: 0.639 0.864 0.162
C: 0.074 0.380 0.111
C: 0.864 0.639 0.162
C: 0.129 0.129 0.832
C: 0.380 0.074 0.111
C: 0.579 0.579 0.808
O: 0.067 0.965 0.029
O: 0.476 0.201 0.283
O: 0.455 0.455 0.742
O: 0.742 0.983 0.342
O: 0.965 0.067 0.029
O: 0.530 0.428 0.115
O: 0.497 0.196 0.815
O: 0.755 0.236 0.636
O: 0.201 0.476 0.283
O: 0.800 0.935 0.941
O: 0.366 0.239 0.027
O: 0.983 0.742 0.342
O: 0.236 0.755 0.636
O: 0.428 0.530 0.115
O: 0.239 0.366 0.027
O: 0.022 0.022 0.623
O: 0.028 0.690 0.936
O: 0.676 0.227 0.076
O: 0.831 0.214 0.008
O: 0.690 0.028 0.936
O: 0.935 0.800 0.941
O: 0.214 0.831 0.008
O: 0.227 0.676 0.076
O: 0.196 0.497 0.815
S: 0.247 0.760 0.906
S: 0.760 0.247 0.906
S: 0.436 0.192 0.053
S: 0.035 0.035 0.886
S: 0.192 0.436 0.053
S: 0.727 0.964 0.084
S: 0.964 0.727 0.084
S: 0.487 0.487 0.964
Rb: 0.321 0.321 0.509
Rb: 0.599 0.089 0.511
Rb: 0.599 0.348 0.506
Rb: 0.873 0.873 0.484
Rb: 0.348 0.599 0.506
Rb: 0.887 0.132 0.492
Rb: 0.089 0.599 0.511
Rb: 0.132 0.887 0.492

Which of them is the most stable, and which is the least stable? <w> and <x>, in that order.